This record from the Materials Project database describes Na2Li2FeO4 after structural relaxation. The functional is PBE+U.

* formation energy: -15.622 eV per formula unit
* M_tot: 4.000 μB per formula unit
* total energy: -5.04 eV per atom
* SG: P2_1/c, No. 14
* volume: 12.1 Å³/atom
* energy with MP2020 corrections: -5.5941 eV per atom

Unit cell a=8.1978 b=6.6369 c=10.4250 alpha=50.41 beta=90.00 gamma=90.00
Positions (direct):
O: 0.2250 0.9559 0.5521
O: 0.2750 0.9559 0.0521
Fe: 0.3746 0.7592 0.7186
Li: 0.6415 0.7423 0.5110
Fe: 0.1254 0.7592 0.2186
O: 0.7908 0.4640 0.5685
O: 0.7750 0.0441 0.4479
O: 0.7092 0.4640 0.0685
O: 0.0392 0.0214 0.2112
Li: 0.4150 0.7302 0.2988
Li: 0.3585 0.2577 0.4890
Li: 0.0850 0.7302 0.7988
Na: 0.5262 0.2458 0.9969
Li: 0.5850 0.2698 0.7012
Na: 0.9738 0.2458 0.4969
O: 0.5089 0.4561 0.2987
Na: 0.4738 0.7542 0.0031
Li: 0.1415 0.2577 0.9890
O: 0.4911 0.5439 0.7014
O: 0.2908 0.5360 0.9315
O: 0.9608 0.9786 0.7888
Fe: 0.6254 0.2408 0.2814
Na: 0.7542 0.7594 0.2540
O: 0.2092 0.5360 0.4315
O: 0.0089 0.5439 0.2014
Na: 0.2542 0.2406 0.2460
Na: 0.0262 0.7542 0.5031
Na: 0.2458 0.2406 0.7460
O: 0.5392 0.9786 0.2888
O: 0.7250 0.0441 0.9479
O: 0.4608 0.0214 0.7112
O: 0.9911 0.4561 0.7986
Li: 0.8585 0.7423 0.0110
Li: 0.9150 0.2698 0.2012
Fe: 0.8746 0.2408 0.7814
Na: 0.7458 0.7594 0.7540